Density functional theory data (GGA-PBE) for crystalline Ho2B6Rh9 at its relaxed geometry. Values from VASP.

## Properties
- Crystal system: hexagonal
- Formation enthalpy at 0 K: -0.63 eV/atom

Structure (Quantum ESPRESSO input):
```
&SYSTEM
  ibrav = 0, nat = 17, ntyp = 3
/
ATOMIC_SPECIES
Ho 164.93 Ho.upf
B 10.81 B.upf
Rh 102.91 Rh.upf
CELL_PARAMETERS angstrom
5.591 0.000 0.000
-2.795 4.842 0.000
0.000 0.000 8.563
ATOMIC_POSITIONS crystal
Ho 0.000 0.000 0.205
Ho 0.000 0.000 0.795
B 0.333 0.667 0.167
B 0.333 0.667 0.500
B 0.333 0.667 0.833
B 0.667 0.333 0.167
B 0.667 0.333 0.500
B 0.667 0.333 0.833
Rh 0.000 0.500 0.000
Rh 0.000 0.500 0.336
Rh 0.000 0.500 0.664
Rh 0.500 0.000 0.000
Rh 0.500 0.000 0.336
Rh 0.500 0.000 0.664
Rh 0.500 0.500 0.000
Rh 0.500 0.500 0.336
Rh 0.500 0.500 0.664
```

Density functional theory data (GGA-PBE) for crystalline MgH4S2O9 at its relaxed geometry. Values from VASP.

## Properties
- Crystal system: monoclinic
- Formation enthalpy at 0 K: -1.84 eV/atom
- Distance to the lowest polymorph of the same formula: 0.00 kJ per mole of atoms

Structure (Quantum ESPRESSO input):
```
&SYSTEM
  ibrav = 0, nat = 64, ntyp = 4
/
ATOMIC_SPECIES
Mg 24.30 Mg.upf
H 1.01 H.upf
S 32.06 S.upf
O 16.00 O.upf
CELL_PARAMETERS angstrom
8.887 0.000 0.000
0.000 5.166 0.000
-5.722 0.000 15.837
ATOMIC_POSITIONS crystal
Mg 0.242 0.248 0.490
Mg 0.242 0.252 0.990
Mg 0.758 0.748 0.010
Mg 0.758 0.752 0.510
H 0.148 0.081 0.224
H 0.148 0.419 0.724
H 0.176 0.659 0.233
H 0.176 0.841 0.733
H 0.285 0.701 0.814
H 0.285 0.799 0.314
H 0.426 0.718 0.716
H 0.426 0.782 0.216
H 0.574 0.218 0.784
H 0.574 0.282 0.284
H 0.715 0.201 0.686
H 0.715 0.299 0.186
H 0.824 0.159 0.267
H 0.824 0.341 0.767
H 0.852 0.581 0.276
H 0.852 0.919 0.776
S 0.006 0.746 0.394
S 0.006 0.754 0.894
S 0.468 0.743 0.597
S 0.468 0.757 0.097
S 0.532 0.243 0.903
S 0.532 0.257 0.403
S 0.994 0.246 0.106
S 0.994 0.254 0.606
O 0.063 0.013 0.410
O 0.063 0.487 0.910
O 0.084 0.247 0.205
O 0.084 0.253 0.705
O 0.111 0.175 0.067
O 0.111 0.325 0.567
O 0.138 0.558 0.411
O 0.138 0.942 0.911
O 0.248 0.693 0.752
O 0.248 0.807 0.252
O 0.336 0.575 0.064
O 0.336 0.925 0.564
O 0.385 0.174 0.416
O 0.385 0.326 0.916
O 0.424 0.025 0.071
O 0.424 0.475 0.571
O 0.480 0.249 0.303
O 0.480 0.251 0.803
O 0.520 0.749 0.197
O 0.520 0.751 0.697
O 0.576 0.525 0.429
O 0.576 0.975 0.929
O 0.615 0.674 0.084
O 0.615 0.826 0.584
O 0.664 0.075 0.436
O 0.664 0.425 0.936
O 0.752 0.193 0.748
O 0.752 0.307 0.248
O 0.862 0.058 0.089
O 0.862 0.442 0.589
O 0.889 0.675 0.433
O 0.889 0.825 0.933
O 0.916 0.747 0.295
O 0.916 0.753 0.795
O 0.937 0.513 0.090
O 0.937 0.987 0.590
```

Density functional theory data (GGA-PBE) for crystalline Tb4Al24Pd9 at its relaxed geometry. Values from VASP.

## Properties
- Crystal system: triclinic
- Formation enthalpy at 0 K: -0.72 eV/atom

Structure (Quantum ESPRESSO input):
```
&SYSTEM
  ibrav = 0, nat = 37, ntyp = 3
/
ATOMIC_SPECIES
Tb 158.93 Tb.upf
Al 26.98 Al.upf
Pd 106.42 Pd.upf
CELL_PARAMETERS angstrom
7.492 0.000 0.000
3.719 6.556 0.000
2.437 -0.015 13.041
ATOMIC_POSITIONS crystal
Tb 0.063 0.330 0.309
Tb 0.269 0.998 0.691
Tb 0.731 0.002 0.309
Tb 0.937 0.670 0.691
Al 0.020 0.666 0.445
Al 0.119 0.665 0.170
Al 0.145 0.333 0.058
Al 0.187 0.000 0.941
Al 0.193 0.869 0.315
Al 0.232 0.660 0.831
Al 0.318 0.667 0.546
Al 0.353 0.999 0.446
Al 0.396 0.459 0.316
Al 0.397 0.336 0.683
Al 0.443 0.994 0.170
Al 0.479 0.667 0.060
Al 0.521 0.333 0.940
Al 0.557 0.006 0.830
Al 0.603 0.664 0.317
Al 0.604 0.541 0.684
Al 0.647 0.001 0.554
Al 0.682 0.333 0.454
Al 0.768 0.340 0.169
Al 0.807 0.131 0.685
Al 0.813 0.000 0.059
Al 0.855 0.667 0.942
Al 0.881 0.335 0.830
Al 0.980 0.334 0.555
Pd 0.000 0.000 0.500
Pd 0.113 0.006 0.138
Pd 0.206 0.333 0.862
Pd 0.328 0.329 0.499
Pd 0.452 0.327 0.137
Pd 0.548 0.673 0.863
Pd 0.672 0.671 0.501
Pd 0.794 0.667 0.138
Pd 0.887 0.994 0.862
```